# 1
First-principles (PBE) data for a relaxed structure of GaB2P2O12, as listed in the Materials Project. Values from VASP.

Cell and atoms, written as Quantum ESPRESSO input:
```
&SYSTEM
  ibrav = 0, nat = 34, ntyp = 4
/
ATOMIC_SPECIES
Ga 69.72 Ga.upf
B 10.81 B.upf
P 30.97 P.upf
O 16.00 O.upf
ATOMIC_POSITIONS angstrom
Ga 4.343 1.743 0.000
Ga 3.132 -1.743 3.313
B 6.066 1.934 2.637
B 10.093 1.934 0.676
B 4.855 -1.934 5.950
B 8.882 -1.934 3.989
P 1.902 0.873 1.934
P 0.691 -0.873 5.247
P 14.257 0.873 1.379
P 13.046 -0.873 4.692
O -0.060 0.128 4.295
O 3.588 1.623 5.578
O 1.151 -0.128 0.982
O 5.455 1.772 3.963
O 5.418 1.198 1.604
O 2.771 0.145 2.953
O 1.560 -0.145 6.266
O 7.324 1.153 2.610
O 8.282 1.772 5.975
O 8.835 1.153 0.703
O 10.149 1.623 4.361
O 10.741 1.198 1.709
O 4.207 -1.198 4.917
O 4.799 -1.623 2.265
O 6.113 -1.153 5.923
O 6.666 -1.772 0.650
O 7.624 -1.153 4.016
O 13.388 0.145 0.360
O 12.177 -0.145 3.672
O 9.530 -1.198 5.022
O 9.493 -1.772 2.662
O 13.797 0.128 5.644
O 11.360 -1.623 1.048
O 15.008 -0.128 2.331
CELL_PARAMETERS angstrom
8.685 -3.486 0.000
8.685 3.486 0.000
-2.422 0.000 6.626
```

Calculated values
Symmetry: C2/c, No. 15



# 2
First-principles (PBE) data for a relaxed structure of GaBPbO4, as listed in the Materials Project. Values from VASP.

Cell and atoms, written as Quantum ESPRESSO input:
```
&SYSTEM
  ibrav = 0, nat = 28, ntyp = 4
/
ATOMIC_SPECIES
Ga 69.72 Ga.upf
B 10.81 B.upf
Pb 207.20 Pb.upf
O 16.00 O.upf
ATOMIC_POSITIONS angstrom
Ga 0.000 0.000 0.000
Ga 0.000 2.994 0.000
Ga 3.560 0.000 4.198
Ga 3.560 2.994 4.198
B 1.583 1.497 2.218
B 1.978 4.491 6.416
B 5.143 1.497 1.980
B 5.538 4.491 6.178
Pb 0.455 4.491 2.998
Pb 3.105 1.497 7.196
Pb 4.015 4.491 1.200
Pb 6.665 1.497 5.398
O 0.715 1.497 7.447
O 1.221 0.290 1.623
O 1.221 2.704 1.623
O 1.278 4.491 7.615
O 2.282 1.497 3.417
O 2.339 3.284 5.821
O 2.339 5.698 5.821
O 2.845 4.491 3.249
O 4.276 1.497 5.147
O 4.782 0.290 2.575
O 4.782 2.704 2.575
O 4.838 4.491 4.979
O 5.843 1.497 0.781
O 5.899 3.284 6.773
O 5.899 5.698 6.773
O 6.405 4.491 0.949
CELL_PARAMETERS angstrom
7.120 0.000 0.000
0.000 5.988 0.000
0.000 0.000 8.396
```

Calculated values
Symmetry: Pnma, No. 62



# 3
First-principles (PBE) data for a relaxed structure of SmGa3B4O12, as listed in the Materials Project. Values from VASP.

Cell and atoms, written as Quantum ESPRESSO input:
```
&SYSTEM
  ibrav = 0, nat = 20, ntyp = 4
/
ATOMIC_SPECIES
Sm 150.36 Sm.upf
Ga 69.72 Ga.upf
B 10.81 B.upf
O 16.00 O.upf
ATOMIC_POSITIONS angstrom
Sm 0.000 0.000 0.000
Ga -2.632 -0.967 2.530
Ga -2.632 0.967 5.060
Ga 0.479 2.763 2.530
B -2.141 -3.709 3.795
B 0.000 0.000 3.795
B -2.141 3.709 3.795
B 4.282 0.000 3.795
O -2.880 -2.557 3.640
O -3.901 0.000 3.795
O -0.775 -3.772 3.950
O -1.391 0.000 3.795
O -2.880 2.557 3.950
O 1.951 -3.379 3.795
O 0.695 -1.204 3.795
O -0.775 3.772 3.640
O 0.695 1.204 3.795
O 3.654 -1.215 3.640
O 1.951 3.379 3.795
O 3.654 1.215 3.950
CELL_PARAMETERS angstrom
4.786 2.763 2.530
-4.786 2.763 2.530
0.000 -5.526 2.530
```

Calculated values
Symmetry: R32, No. 155



Number 1: energy -224.70 eV per cell, formation enthalpy at 0 K -2.000 eV/atom, magnetic moment 10.0 μB per cell. Number 2: energy -186.25 eV per cell, formation enthalpy at 0 K -2.300 eV/atom, magnetic moment 0.0 μB per cell. Number 3: energy -147.24 eV per cell, formation enthalpy at 0 K -2.779 eV/atom, magnetic moment 0.0 μB per cell.